# 1
Material: FeAg3H6C6N8
Method: DFT, PBE
State: relaxed

Calculated values
For the electronic total energy, the calculation gives -6.49 eV per atom. Its symmetry is No. 9. The formation energy comes out at 0.03 eV per atom.

Lattice parameters (Å, degrees): 7.7742 7.7742 12.4339 92.89 92.89 104.64
With the nearest neighbours (Å) after each atom.
Positions (direct):
Fe (0.2448, 0.7552, 0.5000)  6 C 1.89-1.91
Fe (0.7552, 0.2448, 0.0000)  6 C 1.89-1.91
Ag (0.1415, 0.8030, 0.0910)  3 N 2.15-2.31
Ag (0.3747, 0.6828, 0.9034)  3 N 2.17-2.37
Ag (0.5020, 0.5916, 0.2178)  2 N 2.13-2.17
Ag (0.5916, 0.5020, 0.7178)  2 N 2.13-2.17
Ag (0.6828, 0.3747, 0.4034)  3 N 2.17-2.37
Ag (0.8030, 0.1415, 0.5910)  3 N 2.15-2.31
H (0.2027, 0.3546, 0.1239)  1 N 1.03
H (0.2217, 0.3253, 0.2546)  1 N 1.02
H (0.2432, 0.3447, 0.6698)  1 N 1.02
H (0.3253, 0.2217, 0.7546)  1 N 1.02
H (0.3447, 0.2432, 0.1698)  1 N 1.02
H (0.3546, 0.2027, 0.6239)  1 N 1.03
H (0.6703, 0.9135, 0.3089)  1 N 1.02
H (0.7462, 0.8870, 0.1886)  1 N 1.02
H (0.8000, 0.8211, 0.7935)  1 N 1.02
H (0.8211, 0.8000, 0.2935)  1 N 1.02
H (0.8870, 0.7462, 0.6886)  1 N 1.02
H (0.9135, 0.6703, 0.8089)  1 N 1.02
C (0.0660, 0.8788, 0.5214)  1 N 1.18
C (0.0699, 0.5386, 0.5180)  1 N 1.18
C (0.1848, 0.7389, 0.3503)  1 N 1.18
C (0.3015, 0.7749, 0.6524)  1 N 1.18
C (0.4187, 0.9682, 0.4793)  1 N 1.18
C (0.4195, 0.6285, 0.4795)  1 N 1.18
C (0.5386, 0.0699, 0.0180)  1 N 1.18
C (0.6285, 0.4195, 0.9795)  1 N 1.18
C (0.7389, 0.1848, 0.8503)  1 N 1.18
C (0.7749, 0.3015, 0.1524)  1 N 1.18
C (0.8788, 0.0660, 0.0214)  1 N 1.18
C (0.9682, 0.4187, 0.9793)  1 N 1.18
N (0.0973, 0.5318, 0.9658)  1 C 1.18
N (0.1502, 0.7352, 0.2567)  1 C 1.18
N (0.2909, 0.3480, 0.1868)  3 H 1.02-1.03
N (0.3316, 0.7811, 0.7465)  1 C 1.18
N (0.3480, 0.2909, 0.6868)  3 H 1.02-1.03
N (0.4096, 0.9564, 0.0310)  1 C 1.18
N (0.5297, 0.5510, 0.4668)  1 C 1.18
N (0.5318, 0.0973, 0.4658)  1 C 1.18
N (0.5510, 0.5297, 0.9668)  1 C 1.18
N (0.7098, 0.8259, 0.2578)  3 H 1.02
N (0.7352, 0.1502, 0.7567)  1 C 1.18
N (0.7811, 0.3316, 0.2465)  1 C 1.18
N (0.8259, 0.7098, 0.7578)  3 H 1.02
N (0.9518, 0.9529, 0.0351)  1 C 1.18
N (0.9529, 0.9518, 0.5351)  1 C 1.18
N (0.9564, 0.4096, 0.5310)  1 C 1.18

---

# 2
Material: NaAc
Method: DFT, PBE
State: relaxed

Calculated values
For the electronic total energy, the calculation gives -2.55 eV per atom. Its symmetry is No. 187. The formation energy comes out at 0.18 eV per atom.

Lattice parameters (Å, degrees): 3.8836 3.8836 6.5179 90.00 90.00 120.00
With the nearest neighbours (Å) after each atom.
Positions (direct):
Na (0.0000, 0.0000, 0.0000)  6 Na 3.88, 6 Ac 3.96
Ac (0.3333, 0.6667, 0.5000)  6 Ac 3.88, 6 Na 3.96

---

# 3
Material: Na5TaGa3SiP5O24
Method: DFT, PBE
State: relaxed

Calculated values
For the electronic total energy, the calculation gives -6.84 eV per atom. Its symmetry is No. 1. The formation energy comes out at -2.68 eV per atom.

Lattice parameters (Å, degrees): 8.7702 8.7746 21.9693 90.03 90.27 119.83
With the nearest neighbours (Å) after each atom.
Positions (direct):
Na (0.0000, 0.0000, 0.0000)  6 O 2.40-2.67
Na (0.0007, 0.3683, 0.7466)  6 O 2.49-2.55
Na (0.0342, 0.0607, 0.3238)  4 O 2.29-2.47
Na (0.3054, 0.7080, 0.3263)  4 O 2.27-2.54
Na (0.3307, 0.0339, 0.9096)  6 O 2.41-2.59
Na (0.3344, 0.6702, 0.6649)  6 O 2.39-2.57
Na (0.3401, 0.0534, 0.4126)  6 O 2.38-2.62
Na (0.3681, 0.7399, 0.9996)  5 O 2.35-2.54
Na (0.6305, 0.9977, 0.4955)  6 O 2.36-2.63
Na (0.6363, 0.3744, 0.0022)  5 O 2.35-2.49
Na (0.6676, 0.6908, 0.5760)  4 O 2.30-2.57
Na (0.6717, 0.7027, 0.0795)  6 O 2.42-2.57
Na (0.6994, 0.4023, 0.6644)  6 O 2.40-2.57
Na (0.9671, 0.0353, 0.6655)  6 O 2.40-2.61
Na (0.9875, 0.3659, 0.2371)  3 O 2.26-2.37
Ta (0.0025, 0.3756, 0.8914)  6 O 1.90-2.04
Ta (0.6638, 0.7023, 0.2240)  6 O 1.93-2.03
Ta (0.9986, 0.3678, 0.3940)  6 O 1.94-2.01
Ga (0.0010, 0.3720, 0.5964)  6 O 1.92-2.11
Ga (0.3277, 0.0364, 0.5618)  6 O 1.96-2.10
Ga (0.3291, 0.0329, 0.0650)  6 O 1.93-2.15
Ga (0.3322, 0.0352, 0.7672)  6 O 1.97-2.03
Ga (0.3463, 0.0485, 0.2646)  5 O 1.89-2.00
Ga (0.6602, 0.6944, 0.4324)  4 O 1.85-2.04
Ga (0.6677, 0.7034, 0.7324)  6 O 1.93-2.08
Ga (0.6730, 0.7034, 0.9290)  6 O 1.94-2.12
Ga (0.9974, 0.3721, 0.1011)  6 O 1.89-2.04
Si (0.3844, 0.4084, 0.3328)  4 O 1.59-1.69
Si (0.6593, 0.9892, 0.3334)  4 O 1.60-1.66
Si (0.9984, 0.6635, 0.0006)  4 O 1.60-1.68
P (0.0026, 0.0734, 0.5004)  4 O 1.52-1.59
P (0.0443, 0.7472, 0.6644)  4 O 1.54-1.57
P (0.0460, 0.0428, 0.1632)  4 O 1.53-1.59
P (0.2909, 0.3724, 0.9994)  4 O 1.52-1.58
P (0.2946, 0.6655, 0.5013)  4 O 1.54-1.57
P (0.3258, 0.7445, 0.1637)  4 O 1.53-1.60
P (0.3333, 0.3247, 0.6643)  4 O 1.54-1.57
P (0.3825, 0.7096, 0.8301)  4 O 1.53-1.59
P (0.6229, 0.0361, 0.6636)  4 O 1.53-1.57
P (0.6255, 0.3212, 0.1618)  4 O 1.52-1.59
P (0.6579, 0.4075, 0.8295)  4 O 1.53-1.59
P (0.7060, 0.3745, 0.5013)  4 O 1.52-1.58
P (0.7127, 0.0796, 0.9987)  4 O 1.52-1.58
P (0.9517, 0.7036, 0.3325)  4 O 1.52-1.57
P (0.9616, 0.9915, 0.8296)  4 O 1.53-1.58
O (0.0217, 0.1917, 0.4431)  1 P 1.59
O (0.0224, 0.5593, 0.6585)  1 P 1.57
O (0.0233, 0.2048, 0.1588)  1 P 1.53
O (0.0341, 0.5676, 0.9403)  1 Si 1.68
O (0.1213, 0.8661, 0.6081)  1 P 1.54
O (0.1227, 0.0108, 0.1044)  1 P 1.55
O (0.1364, 0.8578, 0.3240)  1 P 1.52
O (0.1455, 0.0123, 0.8248)  1 P 1.53
O (0.1505, 0.0601, 0.2216)  1 P 1.54
O (0.1649, 0.8262, 0.7203)  1 P 1.54
O (0.1675, 0.3474, 0.6575)  1 P 1.57
O (0.1673, 0.5585, 0.1599)  1 P 1.53
O (0.1696, 0.3381, 0.9418)  1 P 1.58
O (0.1730, 0.0668, 0.5026)  1 P 1.52
O (0.1774, 0.8563, 0.0032)  1 Si 1.64
O (0.1792, 0.5696, 0.4438)  1 P 1.57
O (0.1882, 0.4007, 0.3390)  1 Si 1.69
O (0.1949, 0.5375, 0.8359)  1 P 1.59
O (0.2083, 0.4079, 0.0542)  1 P 1.52
O (0.2088, 0.5557, 0.5589)  1 P 1.54
O (0.2916, 0.2049, 0.7200)  1 P 1.54
O (0.3059, 0.8304, 0.2216)  1 P 1.53
O (0.3101, 0.2062, 0.0022)  1 P 1.55
O (0.3102, 0.8492, 0.5025)  1 P 1.55
O (0.3351, 0.2074, 0.3241)  1 Si 1.61
O (0.3577, 0.8702, 0.8255)  1 P 1.53
O (0.3604, 0.8537, 0.1050)  1 P 1.55
O (0.3754, 0.2472, 0.6079)  1 P 1.54
O (0.4582, 0.6753, 0.7717)  1 P 1.54
O (0.4702, 0.5406, 0.2738)  1 Si 1.65
O (0.4737, 0.5377, 0.9908)  1 P 1.55
O (0.4797, 0.6872, 0.4974)  1 P 1.54
O (0.4855, 0.0034, 0.3238)  1 Si 1.60
O (0.4881, 0.7292, 0.8885)  1 P 1.54
O (0.4974, 0.2228, 0.8243)  1 P 1.53
O (0.4981, 0.4914, 0.3929)  1 Si 1.59
O (0.4980, 0.5126, 0.6710)  1 P 1.57
O (0.4994, 0.7294, 0.1691)  1 P 1.60
O (0.5103, 0.9986, 0.6048)  1 P 1.56
O (0.5169, 0.2470, 0.1023)  1 P 1.55
O (0.5286, 0.2003, 0.5021)  1 P 1.55
O (0.5319, 0.0701, 0.0019)  1 P 1.55
O (0.5392, 0.0753, 0.7182)  1 P 1.53
O (0.5387, 0.2131, 0.2182)  1 P 1.52
O (0.6288, 0.8767, 0.3951)  1 Si 1.62
O (0.6362, 0.4911, 0.8878)  1 P 1.54
O (0.6440, 0.8698, 0.6704)  1 P 1.57
O (0.6445, 0.5102, 0.1682)  1 P 1.59
O (0.6843, 0.8921, 0.9899)  1 P 1.55
O (0.6942, 0.5192, 0.7714)  1 P 1.54
O (0.6940, 0.5405, 0.4944)  1 P 1.52
O (0.7080, 0.8999, 0.2757)  1 Si 1.66
O (0.8046, 0.1999, 0.9418)  1 P 1.58
O (0.8070, 0.3479, 0.4465)  1 P 1.58
O (0.8089, 0.3411, 0.1587)  1 P 1.53
O (0.8114, 0.2008, 0.6587)  1 P 1.57
O (0.8122, 0.3960, 0.5606)  1 P 1.55
O (0.8249, 0.6857, 0.9909)  1 Si 1.64
O (0.8288, 0.3896, 0.8361)  1 P 1.59
O (0.8340, 0.1555, 0.0536)  1 P 1.52
O (0.8349, 0.6668, 0.2749)  1 P 1.55
O (0.8348, 0.8941, 0.4937)  1 P 1.54
O (0.8407, 0.1838, 0.3383)  1 Si 1.66
O (0.8495, 0.9140, 0.7713)  1 P 1.55
O (0.8560, 0.7241, 0.6707)  1 P 1.57
O (0.8587, 0.8709, 0.1685)  1 P 1.59
O (0.8743, 0.7434, 0.3880)  1 P 1.52
O (0.8778, 0.8859, 0.8878)  1 P 1.54
O (0.9497, 0.5273, 0.0556)  1 Si 1.60
O (0.9682, 0.1583, 0.5571)  1 P 1.56
O (0.9711, 0.5358, 0.3396)  1 P 1.57
O (0.9786, 0.1785, 0.8360)  1 P 1.58

---

# 4
Material: AgBiTe2
Method: DFT, PBE
State: relaxed

Calculated values
For the electronic total energy, the calculation gives -3.40 eV per atom. Its symmetry is No. 164. The formation energy comes out at -0.36 eV per atom.

Lattice parameters (Å, degrees): 4.4458 4.4458 20.9616 90.00 90.00 120.00
With the nearest neighbours (Å) after each atom.
Positions (direct):
Ag (0.0000, 0.0000, 0.0000)  6 Te 3.02
Ag (0.3333, 0.6667, 0.6694)  6 Te 3.03-3.06
Ag (0.6667, 0.3333, 0.3306)  6 Te 3.03-3.06
Bi (0.0000, 0.0000, 0.5000)  6 Te 3.19
Bi (0.3333, 0.6667, 0.1648)  6 Te 3.18
Bi (0.6667, 0.3333, 0.8352)  6 Te 3.18
Te (0.0000, 0.0000, 0.2542)  3 Ag 3.03, 3 Bi 3.18
Te (0.0000, 0.0000, 0.7458)  3 Ag 3.03, 3 Bi 3.18
Te (0.3333, 0.6667, 0.4097)  3 Ag 3.06, 3 Bi 3.19
Te (0.3333, 0.6667, 0.9244)  3 Ag 3.02, 3 Bi 3.18
Te (0.6667, 0.3333, 0.0756)  3 Ag 3.02, 3 Bi 3.18
Te (0.6667, 0.3333, 0.5903)  3 Ag 3.06, 3 Bi 3.19

---

# 5
Material: AlAgTe2
Method: DFT, PBE
State: relaxed

Calculated values
For the electronic total energy, the calculation gives -3.58 eV per atom. Its symmetry is No. 122. The formation energy comes out at -0.57 eV per atom. The calculation puts the maximum piezoelectric response at 0.1 C/m².

Lattice parameters (Å, degrees): 7.6198 7.6198 7.6198 130.18 130.18 73.12
With the nearest neighbours (Å) after each atom.
Positions (direct):
Al (0.0000, 0.0000, 0.0000)  4 Te 2.66
Al (0.7500, 0.2500, 0.5000)  4 Te 2.66
Ag (0.2500, 0.7500, 0.5000)  4 Te 2.82
Ag (0.5000, 0.5000, 0.0000)  4 Te 2.82
Te (0.1041, 0.1250, 0.4791)  2 Al 2.66, 2 Ag 2.82
Te (0.3750, 0.8959, 0.0209)  2 Al 2.66, 2 Ag 2.82
Te (0.6459, 0.6250, 0.5209)  2 Al 2.66, 2 Ag 2.82
Te (0.8750, 0.3541, 0.9791)  2 Al 2.66, 2 Ag 2.82

---

# 6
Material: MnBr2
Method: DFT, PBE
State: relaxed

Calculated values
For the electronic total energy, the calculation gives -4.95 eV per atom. Its symmetry is No. 227. The formation energy comes out at -1.16 eV per atom.

Lattice parameters (Å, degrees): 7.8377 7.8377 7.8377 60.00 60.00 60.00
With the nearest neighbours (Å) after each atom.
Positions (direct):
Mn (0.0000, 0.0000, 0.0000)  6 Br 2.71
Mn (0.0000, 0.0000, 0.5000)  6 Br 2.71
Mn (0.0000, 0.5000, 0.0000)  6 Br 2.71
Mn (0.5000, 0.0000, 0.0000)  6 Br 2.71
Br (0.2330, 0.7557, 0.7557)  3 Mn 2.71
Br (0.2443, 0.2443, 0.2443)  3 Mn 2.71
Br (0.2443, 0.2443, 0.7670)  3 Mn 2.71
Br (0.2443, 0.7670, 0.2443)  3 Mn 2.71
Br (0.7557, 0.2330, 0.7557)  3 Mn 2.71
Br (0.7557, 0.7557, 0.2330)  3 Mn 2.71
Br (0.7557, 0.7557, 0.7557)  3 Mn 2.71
Br (0.7670, 0.2443, 0.2443)  3 Mn 2.71

---

# 7
Material: Zr2Ga3Co
Method: DFT, PBE
State: relaxed

Calculated values
For the electronic total energy, the calculation gives -6.07 eV per atom. Its symmetry is No. 8. The formation energy comes out at -0.52 eV per atom.

Lattice parameters (Å, degrees): 5.3429 5.3429 6.5481 127.11 127.11 46.00
With the nearest neighbours (Å) after each atom.
Positions (direct):
Zr (0.0000, 0.0000, 0.0000)  9 Ga 2.86-3.06, 3 Co 3.01-3.10
Zr (0.0854, 0.0854, 0.5856)  8 Ga 2.87-3.02, 3 Co 2.89-2.91
Ga (0.3788, 0.3788, 0.1896)  3 Ga 2.53-2.61, 1 Co 2.56
Ga (0.6887, 0.6887, 0.9654)  1 Co 2.39, 2 Ga 2.53
Ga (0.7188, 0.7188, 0.4242)  2 Co 2.39, 1 Ga 2.61
Co (0.3753, 0.3753, 0.5771)  4 Ga 2.39-2.56

---

# 8
Material: CoCu2SnSe4
Method: DFT, PBE
State: relaxed

Calculated values
For the electronic total energy, the calculation gives -4.40 eV per atom. Its symmetry is No. 82. The formation energy comes out at -0.47 eV per atom.

Lattice parameters (Å, degrees): 6.9947 6.9947 6.9947 131.83 131.83 70.50
With the nearest neighbours (Å) after each atom.
Positions (direct):
Co (0.0000, 0.0000, 0.0000)  4 Se 2.40
Cu (0.2500, 0.7500, 0.5000)  4 Se 2.42
Cu (0.5000, 0.5000, 0.0000)  4 Se 2.44
Sn (0.7500, 0.2500, 0.5000)  4 Se 2.65
Se (0.1492, 0.1139, 0.4947)  1 Co 2.40, 2 Cu 2.42-2.44, 1 Sn 2.65
Se (0.3456, 0.8508, 0.9648)  1 Co 2.40, 2 Cu 2.42-2.44, 1 Sn 2.65
Se (0.6192, 0.6544, 0.5053)  1 Co 2.40, 2 Cu 2.42-2.44, 1 Sn 2.65
Se (0.8861, 0.3808, 0.0353)  1 Co 2.40, 2 Cu 2.42-2.44, 1 Sn 2.65